No. 1
La3FeSiS7: relaxed, PBE-GGA.

a b c (Å): 10.381 10.381 5.689
angles (deg): 90.00 90.00 120.00
Sites, in units of the cell vectors:
1 La 0.122 0.356 0.000
2 La 0.234 0.878 0.000
3 La 0.356 0.234 0.500
4 La 0.644 0.766 0.000
5 La 0.766 0.122 0.500
6 La 0.878 0.644 0.500
7 Fe 0.000 0.000 0.236
8 Fe 0.000 0.000 0.736
9 Si 0.333 0.667 0.585
10 Si 0.667 0.333 0.085
11 S 0.081 0.238 0.487
12 S 0.115 0.591 0.724
13 S 0.157 0.919 0.487
14 S 0.238 0.157 0.987
15 S 0.333 0.667 0.217
16 S 0.409 0.524 0.724
17 S 0.476 0.885 0.724
18 S 0.524 0.115 0.224
19 S 0.591 0.476 0.224
20 S 0.667 0.333 0.717
21 S 0.762 0.843 0.487
22 S 0.843 0.081 0.987
23 S 0.885 0.409 0.224
24 S 0.919 0.762 0.987

The calculation puts the formation energy at -22.36 eV/f.u. The space group is P6_3, No. 173. As for the crystal system: hexagonal. For the total magnetic moment, the calculation gives 3.0 μB per formula unit. The total DFT energy (no corrections) is -6.37 eV/atom.



No. 2
Mn3Ga4Ni9: relaxed, PBE-GGA.

a b c (Å): 5.293 5.293 6.770
angles (deg): 90.00 90.00 90.00
Sites, in units of the cell vectors:
1 Mn 0.000 0.000 0.000
2 Mn 0.000 0.500 0.500
3 Mn 0.500 0.000 0.500
4 Ga 0.000 0.000 0.500
5 Ga 0.000 0.500 0.000
6 Ga 0.500 0.000 0.000
7 Ga 0.500 0.500 0.500
8 Ni 0.248 0.248 0.250
9 Ni 0.248 0.248 0.750
10 Ni 0.248 0.752 0.250
11 Ni 0.248 0.752 0.750
12 Ni 0.500 0.500 0.000
13 Ni 0.752 0.248 0.250
14 Ni 0.752 0.248 0.750
15 Ni 0.752 0.752 0.250
16 Ni 0.752 0.752 0.750

The calculation puts the formation energy at -4.50 eV/f.u. The space group is P4/mmm, No. 123. As for the crystal system: tetragonal. The polymorph energy (0 for the lowest one) comes out at 0 meV/atom. For the total magnetic moment, the calculation gives 13.3 μB per formula unit. The total DFT energy (no corrections) is -6.01 eV/atom.